Sc7CoBr12 GGA-PBE relaxed; ΔE_f = -1813.6 meV per atom
1.0
-6.130 2.941 -5.473
-3.955 -1.700 7.593
5.536 6.597 1.422
Sc Br Co
7 12 1
direct
0.500 0.500 0.500
0.701 0.905 0.977
0.299 0.095 0.023
0.977 0.701 0.905
0.905 0.977 0.701
0.095 0.023 0.299
0.023 0.299 0.095
0.320 0.780 0.930
0.385 0.459 0.164
0.220 0.070 0.680
0.164 0.385 0.459
0.541 0.836 0.615
0.615 0.541 0.836
0.836 0.615 0.541
0.680 0.220 0.070
0.780 0.930 0.320
0.459 0.164 0.385
0.070 0.680 0.220
0.930 0.320 0.780
0.000 0.000 0.000